# 1
First-principles (PBE) data for a relaxed structure of Li7Ge2, as listed in the Materials Project database.

abc: 8.060 8.060 4.481
angles: 90.00 90.00 110.27
Atoms (fractional coordinates):
Li (0.980, 0.657, 0.000)
Li (0.660, 0.660, 0.000)
Li (0.020, 0.343, 0.000)
Li (0.343, 0.020, 0.000)
Li (0.827, 0.173, 0.500)
Li (0.183, 0.499, 0.500)
Li (0.657, 0.980, 0.000)
Li (0.817, 0.501, 0.500)
Li (0.173, 0.827, 0.500)
Li (0.000, 0.000, 0.000)
Li (0.340, 0.340, 0.000)
Li (0.500, 0.500, 0.500)
Li (0.501, 0.817, 0.500)
Li (0.499, 0.183, 0.500)
Ge (0.155, 0.155, 0.500)
Ge (0.845, 0.845, 0.500)
Ge (0.322, 0.678, 0.000)
Ge (0.678, 0.322, 0.000)


# 2
First-principles (PBE) data for a relaxed structure of LiLa4Ho4O12, as listed in the Materials Project database.

abc: 6.169 8.584 5.931
angles: 92.13 90.08 90.12
Atoms (fractional coordinates):
O (0.053, 0.750, 0.633)
O (0.816, 0.434, 0.813)
O (0.666, 0.567, 0.310)
O (0.204, 0.927, 0.198)
O (0.947, 0.248, 0.374)
O (0.813, 0.068, 0.824)
O (0.312, 0.433, 0.657)
O (0.696, 0.941, 0.319)
O (0.182, 0.557, 0.185)
O (0.565, 0.751, 0.871)
O (0.433, 0.265, 0.139)
O (0.321, 0.050, 0.693)
La (0.055, 0.256, 0.994)
La (0.579, 0.206, 0.519)
La (0.950, 0.754, 0.017)
La (0.441, 0.770, 0.489)
Ho (0.008, 0.999, 0.507)
Ho (0.504, 0.004, 0.011)
Ho (0.503, 0.506, 0.958)
Ho (0.973, 0.506, 0.499)
Li (0.385, 0.445, 0.353)

Properties
The calculation puts the energy above the lowest structure with this stoichiometry at 8 meV per atom.


# 3
First-principles (PBE) data for a relaxed structure of Mg14CoSb, as listed in the Materials Project database.

abc: 6.242 6.259 10.177
angles: 90.00 90.00 120.09
Atoms (fractional coordinates):
Mg (0.666, 0.835, 0.625)
Mg (0.671, 0.835, 0.125)
Mg (0.845, 0.173, 0.365)
Mg (0.666, 0.331, 0.625)
Mg (0.328, 0.654, 0.363)
Mg (0.169, 0.834, 0.625)
Mg (0.328, 0.654, 0.887)
Mg (0.831, 0.666, 0.870)
Mg (0.167, 0.334, 0.625)
Mg (0.328, 0.174, 0.887)
Mg (0.831, 0.666, 0.380)
Mg (0.671, 0.336, 0.125)
Mg (0.845, 0.173, 0.885)
Mg (0.328, 0.174, 0.363)
Co (0.165, 0.332, 0.125)
Sb (0.158, 0.829, 0.125)

Properties
The calculation puts the energy above the lowest structure with this stoichiometry at 0 meV per atom.


# 4
First-principles (PBE) data for a relaxed structure of Tm3CrS6, as listed in the Materials Project database.

abc: 3.729 13.135 15.830
angles: 90.00 90.00 90.00
Atoms (fractional coordinates):
S (0.500, 0.023, 0.402)
S (0.000, 0.523, 0.098)
S (0.000, 0.818, 0.479)
S (0.500, 0.380, 0.610)
S (0.000, 0.811, 0.710)
S (0.000, 0.104, 0.754)
S (0.000, 0.417, 0.424)
S (0.500, 0.083, 0.924)
S (0.500, 0.917, 0.076)
S (0.000, 0.583, 0.576)
S (0.500, 0.689, 0.210)
S (0.500, 0.604, 0.746)
S (0.000, 0.189, 0.290)
S (0.500, 0.620, 0.390)
S (0.500, 0.977, 0.598)
S (0.500, 0.682, 0.979)
S (0.500, 0.396, 0.254)
S (0.000, 0.880, 0.890)
S (0.000, 0.477, 0.902)
S (0.000, 0.182, 0.521)
S (0.500, 0.311, 0.790)
S (0.500, 0.318, 0.021)
S (0.000, 0.120, 0.110)
S (0.000, 0.896, 0.246)
Tm (0.000, 0.450, 0.721)
Tm (0.500, 0.050, 0.221)
Tm (0.000, 0.245, 0.902)
Tm (0.500, 0.745, 0.598)
Tm (0.000, 0.550, 0.279)
Tm (0.500, 0.819, 0.352)
Tm (0.500, 0.181, 0.648)
Tm (0.000, 0.681, 0.852)
Tm (0.000, 0.319, 0.148)
Tm (0.500, 0.255, 0.402)
Tm (0.000, 0.755, 0.098)
Tm (0.500, 0.950, 0.779)
Cr (0.000, 0.000, 0.500)
Cr (0.000, 0.000, 0.000)
Cr (0.500, 0.500, 0.000)
Cr (0.500, 0.500, 0.500)


# 5
First-principles (PBE) data for a relaxed structure of Na10Ca2Si7Ge6S5O48, as listed in the Materials Project database.

abc: 17.680 8.919 22.104
angles: 90.35 89.06 120.11
Atoms (fractional coordinates):
O (0.187, 0.884, 0.854)
O (0.083, 0.154, 0.804)
O (0.921, 0.816, 0.312)
O (0.421, 0.816, 0.584)
O (0.763, 0.720, 0.973)
O (0.346, 0.155, 0.754)
O (0.259, 0.662, 0.578)
O (0.264, 0.810, 0.472)
O (0.761, 0.852, 0.076)
O (0.081, 0.971, 0.198)
O (0.274, 0.861, 0.081)
O (0.168, 0.837, 0.567)
O (0.924, 0.807, 0.583)
O (0.732, 0.144, 0.249)
O (0.484, 0.138, 0.588)
O (0.528, 0.849, 0.693)
O (0.924, 0.495, 0.420)
O (0.725, 0.355, 0.139)
O (0.727, 0.309, 0.745)
O (0.742, 0.625, 0.857)
O (0.143, 0.488, 0.762)
O (0.423, 0.540, 0.752)
O (0.096, 0.487, 0.258)
O (0.105, 0.016, 0.309)
O (0.586, 0.016, 0.307)
O (0.919, 0.366, 0.925)
O (0.491, 0.810, 0.405)
O (0.932, 0.565, 0.030)
O (0.767, 0.887, 0.359)
O (0.227, 0.079, 0.650)
O (0.496, 0.199, 0.312)
O (0.830, 0.541, 0.638)
O (0.586, 0.648, 0.067)
O (0.235, 0.325, 0.752)
O (0.817, 0.496, 0.925)
O (0.065, 0.519, 0.861)
O (0.258, 0.168, 0.928)
O (0.421, 0.019, 0.812)
O (0.598, 0.707, 0.757)
O (0.929, 0.536, 0.754)
O (0.433, 0.042, 0.087)
O (0.428, 0.357, 0.921)
O (0.686, 0.489, 0.354)
O (0.585, 0.028, 0.588)
O (0.440, 0.320, 0.643)
O (0.996, 0.798, 0.810)
O (0.236, 0.182, 0.529)
O (0.279, 0.682, 0.969)
O (0.757, 0.711, 0.260)
O (0.641, 0.454, 0.753)
O (0.564, 0.611, 0.361)
O (0.766, 0.672, 0.580)
O (0.993, 0.175, 0.905)
O (0.408, 0.989, 0.409)
O (0.430, 0.320, 0.252)
O (0.089, 0.713, 0.753)
O (0.001, 0.169, 0.311)
O (0.086, 0.228, 0.686)
O (0.334, 0.122, 0.138)
O (0.085, 0.021, 0.590)
O (0.572, 0.456, 0.586)
O (0.936, 0.560, 0.142)
O (0.258, 0.807, 0.759)
O (0.585, 0.455, 0.971)
O (0.069, 0.682, 0.087)
O (0.393, 0.821, 0.188)
O (0.463, 0.556, 0.146)
O (0.583, 0.198, 0.696)
O (0.845, 0.137, 0.027)
O (0.829, 0.152, 0.415)
O (0.143, 0.828, 0.250)
O (0.152, 0.467, 0.475)
O (0.907, 0.312, 0.526)
O (0.755, 0.340, 0.426)
O (0.596, 0.179, 0.080)
O (0.238, 0.865, 0.358)
O (0.989, 0.164, 0.580)
O (0.717, 0.118, 0.645)
O (0.408, 0.827, 0.910)
O (0.827, 0.103, 0.138)
O (0.719, 0.143, 0.534)
O (0.637, 0.428, 0.472)
O (0.983, 0.828, 0.087)
O (0.569, 0.711, 0.480)
O (0.163, 0.461, 0.086)
O (0.907, 0.830, 0.910)
O (0.566, 0.511, 0.854)
O (0.027, 0.212, 0.190)
O (0.414, 0.504, 0.024)
O (0.328, 0.544, 0.636)
O (0.577, 0.940, 0.189)
O (0.695, 0.895, 0.855)
O (0.009, 0.812, 0.698)
O (0.071, 0.431, 0.979)
O (0.636, 0.817, 0.967)
O (0.641, 0.799, 0.262)
O (0.227, 0.146, 0.245)
O (0.331, 0.514, 0.912)
O (0.909, 0.991, 0.812)
O (0.922, 0.027, 0.083)
O (0.662, 0.862, 0.586)
O (0.922, 0.306, 0.252)
O (0.353, 0.136, 0.027)
O (0.418, 0.471, 0.426)
O (0.411, 0.829, 0.311)
O (0.266, 0.651, 0.858)
O (0.579, 0.987, 0.910)
O (0.842, 0.535, 0.250)
O (0.251, 0.351, 0.423)
O (0.735, 0.302, 0.029)
O (0.136, 0.847, 0.972)
O (0.081, 0.997, 0.904)
O (0.603, 0.184, 0.807)
O (0.906, 0.970, 0.687)
O (0.011, 0.844, 0.408)
O (0.400, 0.943, 0.694)
O (0.844, 0.148, 0.751)
O (0.512, 0.178, 0.907)
O (0.341, 0.533, 0.255)
O (0.255, 0.712, 0.257)
O (0.313, 0.137, 0.426)
O (0.433, 0.298, 0.531)
O (0.217, 0.316, 0.146)
O (0.080, 0.509, 0.565)
O (0.589, 0.463, 0.253)
O (0.086, 0.140, 0.088)
O (0.347, 0.557, 0.525)
O (0.064, 0.632, 0.350)
O (0.758, 0.800, 0.754)
O (0.490, 0.818, 0.077)
O (0.190, 0.500, 0.357)
O (0.081, 0.171, 0.410)
O (0.579, 0.165, 0.405)
O (0.846, 0.549, 0.526)
O (0.223, 0.295, 0.035)
O (0.909, 0.995, 0.410)
O (0.502, 0.826, 0.815)
O (0.753, 0.150, 0.928)
O (0.681, 0.496, 0.069)
O (0.511, 0.195, 0.200)
O (0.962, 0.396, 0.643)
O (0.781, 0.881, 0.470)
O (0.899, 0.859, 0.195)
O (0.083, 0.712, 0.468)
Si (0.509, 0.727, 0.754)
Si (0.806, 0.668, 0.915)
Si (0.138, 0.298, 0.753)
Si (0.351, 0.725, 0.255)
Si (0.981, 0.341, 0.578)
Si (0.636, 0.978, 0.253)
Si (0.167, 0.972, 0.916)
Si (0.667, 0.360, 0.415)
Si (0.008, 0.290, 0.254)
Si (0.020, 0.376, 0.919)
Si (0.518, 0.662, 0.419)
Si (0.526, 0.373, 0.911)
Si (0.856, 0.977, 0.752)
Si (0.162, 0.370, 0.416)
Si (0.487, 0.624, 0.079)
Si (0.856, 0.726, 0.255)
Si (0.184, 0.030, 0.585)
Si (0.019, 0.667, 0.410)
Si (0.307, 0.946, 0.415)
Si (0.357, 0.988, 0.755)
Si (0.664, 0.964, 0.915)
Na (0.995, 0.361, 0.746)
Na (0.176, 0.694, 0.661)
Na (0.335, 0.330, 0.331)
Na (0.488, 0.666, 0.914)
Na (0.317, 0.622, 0.752)
Na (0.327, 0.320, 0.833)
Na (0.017, 0.026, 0.996)
Na (0.827, 0.338, 0.833)
Na (0.191, 0.018, 0.752)
Na (0.992, 0.609, 0.256)
Na (0.690, 0.361, 0.257)
Na (0.520, 0.011, 0.497)
Na (0.343, 0.662, 0.417)
Na (0.985, 0.990, 0.497)
Na (0.506, 0.028, 0.998)
Na (0.015, 0.690, 0.589)
Na (0.815, 0.010, 0.251)
Na (0.675, 0.672, 0.665)
Na (0.833, 0.335, 0.332)
Na (0.844, 0.024, 0.916)
Na (0.993, 0.683, 0.924)
Na (0.493, 0.380, 0.756)
Na (0.190, 0.377, 0.247)
Na (0.156, 0.342, 0.575)
Na (0.177, 0.680, 0.165)
Na (0.494, 0.306, 0.425)
Na (0.660, 0.665, 0.157)
Na (0.161, 0.021, 0.417)
Na (0.692, 0.003, 0.747)
Na (0.495, 0.626, 0.247)
S (0.981, 0.655, 0.087)
S (0.139, 0.991, 0.250)
S (0.674, 0.036, 0.588)
S (0.339, 0.644, 0.581)
S (0.483, 0.308, 0.587)
S (0.003, 0.718, 0.753)
S (0.819, 0.975, 0.415)
S (0.836, 0.029, 0.081)
S (0.504, 0.284, 0.253)
S (0.175, 0.311, 0.088)
S (0.684, 0.336, 0.080)
S (0.318, 0.666, 0.913)
S (0.638, 0.286, 0.750)
S (0.346, 0.038, 0.086)
S (0.839, 0.639, 0.583)
Ca (0.838, 0.330, 0.683)
Ca (0.330, 0.326, 0.686)
Ca (0.164, 0.667, 0.018)
Ca (0.663, 0.661, 0.517)
Ca (0.341, 0.350, 0.181)
Ca (0.831, 0.328, 0.185)
Ge (0.168, 0.657, 0.317)
Ge (0.826, 0.341, 0.972)
Ge (0.005, 0.046, 0.643)
Ge (0.323, 0.315, 0.474)
Ge (0.158, 0.669, 0.508)
Ge (0.490, 0.930, 0.145)
Ge (0.999, 0.015, 0.857)
Ge (0.664, 0.652, 0.316)
Ge (0.656, 0.658, 0.005)
Ge (0.346, 0.309, 0.979)
Ge (0.502, 0.006, 0.855)
Ge (0.166, 0.676, 0.817)
Ge (0.998, 0.998, 0.355)
Ge (0.992, 0.013, 0.149)
Ge (0.499, 0.986, 0.358)
Ge (0.673, 0.689, 0.817)
Ge (0.496, 0.982, 0.651)
Ge (0.841, 0.355, 0.474)


# 6
First-principles (PBE) data for a relaxed structure of EuSi2, as listed in the Materials Project database.

abc: 7.548 7.548 7.548
angles: 147.06 147.06 47.28
Atoms (fractional coordinates):
Si (0.416, 0.416, 0.000)
Si (0.334, 0.834, 0.500)
Si (0.166, 0.666, 0.500)
Si (0.584, 0.584, 0.000)
Eu (0.750, 0.250, 0.500)
Eu (0.000, 0.000, 0.000)


# 7
First-principles (PBE) data for a relaxed structure of TbLu, as listed in the Materials Project database.

abc: 3.562 3.562 5.668
angles: 90.00 90.00 120.00
Atoms (fractional coordinates):
Tb (0.000, 0.000, 0.500)
Lu (0.333, 0.667, 0.000)


# 8
First-principles (PBE) data for a relaxed structure of Sm2I2O, as listed in the Materials Project database.

abc: 3.916 3.916 14.453
angles: 90.00 90.00 90.00
Atoms (fractional coordinates):
I (0.500, 0.500, 0.354)
I (0.500, 0.500, 0.646)
Sm (0.500, 0.500, 0.145)
Sm (0.500, 0.500, 0.855)
O (0.500, 0.500, 0.000)


# 9
First-principles (PBE) data for a relaxed structure of MgGaPd2, as listed in the Materials Project database.

abc: 4.431 4.431 4.431
angles: 60.00 60.00 60.00
Atoms (fractional coordinates):
Mg (0.000, 0.000, 0.000)
Pd (0.750, 0.750, 0.750)
Pd (0.250, 0.250, 0.250)
Ga (0.500, 0.500, 0.500)


# 10
First-principles (PBE) data for a relaxed structure of SnPb4N4, as listed in the Materials Project database.

abc: 6.532 7.765 8.612
angles: 88.45 78.70 60.78
Atoms (fractional coordinates):
Pb (0.777, 0.427, 0.593)
Pb (0.737, 0.034, 0.389)
Pb (0.263, 0.966, 0.611)
Pb (0.223, 0.573, 0.407)
Pb (0.718, 0.660, 0.165)
Pb (0.762, 0.228, 0.995)
Pb (0.282, 0.340, 0.835)
Pb (0.238, 0.772, 0.005)
Sn (0.741, 0.817, 0.779)
Sn (0.259, 0.183, 0.221)
N (0.166, 0.113, 0.023)
N (0.507, 0.283, 0.243)
N (0.975, 0.468, 0.331)
N (0.834, 0.887, 0.977)
N (0.025, 0.532, 0.669)
N (0.537, 0.069, 0.655)
N (0.463, 0.931, 0.345)
N (0.493, 0.717, 0.757)


Per-record formation energy, eV/f.u.: -2.87; -76.27; 0.30; -20.12; -185.56; -1.41; 0.03; -5.06; -2.87; 3.12